1.
Computed, not measured: a relaxed structure of Na6Li3Fe6P8O32 at the PBE+U level of DFT.

Output
**Calculated formation energy**: -2436 meV per atom
**Crystal system**: triclinic
**Symmetry**: P1 (1)
**Total energy after the MP2020 corrections**: -7.27 eV per atom

Geometry as CIF:
```
data_Na6Li3Fe6P8O32
_chemical_formula_sum 'Na6 Li3 Fe6 P8 O32'
_symmetry_space_group_name_H-M 'P 1'
_symmetry_Int_Tables_number 1
_cell_length_a 6.541
_cell_length_b 10.618
_cell_length_c 10.643
_cell_angle_alpha 91.40
_cell_angle_beta 107.72
_cell_angle_gamma 90.05
loop_
_symmetry_equiv_pos_as_xyz
'x,y,z'
loop_
_atom_site_label
_atom_site_type_symbol
_atom_site_fract_x
_atom_site_fract_y
_atom_site_fract_z
_atom_site_occupancy
O1 O 0.555 0.383 0.174 1
Li1 Li 0.311 0.268 0.131 1
O2 O 0.744 0.871 0.497 1
O3 O 0.377 0.994 0.305 1
P1 P 0.259 0.509 0.826 1
O4 O 0.614 0.899 0.178 1
P2 P 0.770 0.260 0.604 1
O5 O 0.493 0.127 0.145 1
P3 P 0.728 0.485 0.171 1
P4 P 0.177 0.234 0.404 1
P5 P 0.825 0.759 0.596 1
Fe1 Fe 0.001 0.499 0.499 1
O6 O 0.435 0.605 0.822 1
O7 O 0.367 0.708 0.313 1
O8 O 0.617 0.614 0.154 1
O9 O 0.054 0.796 0.677 1
O10 O 0.631 0.000 0.692 1
O11 O 0.621 0.285 0.689 1
P6 P 0.223 0.740 0.399 1
O12 O 0.262 0.124 0.506 1
Na1 Na 0.645 0.253 0.990 1
O13 O 0.484 0.882 0.850 1
O14 O 0.318 0.271 0.319 1
O15 O 0.362 0.374 0.837 1
O16 O 0.751 0.377 0.510 1
O17 O 0.684 0.720 0.680 1
O18 O 0.800 0.644 0.493 1
Na2 Na 0.203 0.532 0.161 1
O19 O 0.223 0.946 0.061 1
O20 O 0.383 0.108 0.805 1
O21 O 0.769 0.056 0.935 1
O22 O 0.997 0.774 0.315 1
Fe2 Fe 0.310 0.252 0.690 1
O23 O 0.951 0.197 0.318 1
O24 O 0.830 0.451 0.062 1
P7 P 0.426 0.991 0.170 1
Fe3 Fe 0.377 0.755 0.692 1
O25 O 0.244 0.625 0.495 1
Na3 Na 0.793 0.546 0.857 1
Na4 Na 0.928 0.957 0.139 1
O26 O 0.302 0.855 0.502 1
O27 O 0.913 0.484 0.306 1
Na5 Na 0.065 0.013 0.846 1
Fe4 Fe 0.649 0.244 0.320 1
Li2 Li 0.036 0.965 0.499 1
O28 O 0.169 0.539 0.940 1
Fe5 Fe 0.679 0.749 0.307 1
Li3 Li 0.545 0.534 0.511 1
O29 O 0.694 0.148 0.499 1
O30 O 0.194 0.346 0.510 1
P8 P 0.572 0.010 0.824 1
Fe6 Fe 0.508 0.998 0.498 1
O31 O 0.999 0.229 0.688 1
O32 O 0.073 0.510 0.693 1
Na6 Na 0.408 0.751 0.001 1
```

2.
Computed, not measured: a relaxed structure of NaLi3Ti2Fe2P6O24 at the PBE+U level of DFT.

Output
**Calculated formation energy**: -2727 meV per atom
**Crystal system**: triclinic
**Symmetry**: P1 (1)
**Total energy after the MP2020 corrections**: -7.75 eV per atom
**E above lowest polymorph**: 13 meV/atom

Geometry as CIF:
```
data_NaLi3Ti2Fe2P6O24
_chemical_formula_sum 'Na3 Li9 Ti6 Fe6 P18 O72'
_symmetry_space_group_name_H-M 'P 1'
_symmetry_Int_Tables_number 1
_cell_length_a 8.501
_cell_length_b 8.956
_cell_length_c 21.011
_cell_angle_alpha 92.43
_cell_angle_beta 90.04
_cell_angle_gamma 118.32
loop_
_symmetry_equiv_pos_as_xyz
'x,y,z'
loop_
_atom_site_label
_atom_site_type_symbol
_atom_site_fract_x
_atom_site_fract_y
_atom_site_fract_z
_atom_site_occupancy
O1 O 0.248 0.364 0.630 1
Ti1 Ti 0.860 0.723 0.287 1
O2 O 0.362 0.491 0.752 1
Ti2 Ti 0.132 0.268 0.716 1
O3 O 0.294 0.947 0.164 1
O4 O 0.076 0.310 0.033 1
O5 O 0.342 0.885 0.460 1
O6 O 0.385 0.728 0.824 1
Li1 Li 0.762 0.767 0.913 1
O7 O 0.668 0.551 0.127 1
Li2 Li 0.128 0.622 0.783 1
O8 O 0.381 0.576 0.001 1
Fe1 Fe 0.536 0.076 0.114 1
Ti3 Ti 0.142 0.281 0.215 1
Li3 Li 0.417 0.086 0.241 1
P1 P 0.904 0.095 0.848 1
O9 O 0.373 0.027 0.816 1
O10 O 0.320 0.452 0.872 1
Na1 Na 0.676 0.351 0.334 1
O11 O 0.288 0.755 0.328 1
O12 O 0.700 0.694 0.483 1
O13 O 0.794 0.522 0.723 1
O14 O 0.627 0.630 0.830 1
O15 O 0.109 0.830 0.745 1
O16 O 0.568 0.502 0.600 1
P2 P 0.240 0.766 0.513 1
P3 P 0.804 0.900 0.654 1
O17 O 0.642 0.967 0.179 1
O18 O 0.655 0.119 0.537 1
O19 O 0.572 0.847 0.945 1
O20 O 0.029 0.827 0.087 1
P4 P 0.386 0.342 0.585 1
O21 O 0.987 0.190 0.911 1
O22 O 0.065 0.066 0.161 1
Fe2 Fe 0.472 0.941 0.382 1
O23 O 0.125 0.189 0.391 1
Na2 Na 0.334 0.668 0.164 1
Ti4 Ti 0.190 0.382 0.952 1
Li4 Li 0.080 0.419 0.573 1
P5 P 0.576 0.435 0.181 1
O24 O 0.712 0.392 0.490 1
P6 P 0.523 0.762 0.010 1
O25 O 0.698 0.162 0.417 1
P7 P 0.958 0.337 0.082 1
Ti5 Ti 0.474 0.954 0.881 1
O26 O 0.953 0.088 0.670 1
Ti6 Ti 0.530 0.057 0.615 1
Li5 Li 0.583 0.537 0.696 1
P8 P 0.864 0.431 0.676 1
Fe3 Fe 0.807 0.615 0.048 1
Fe4 Fe 0.810 0.618 0.547 1
O27 O 0.743 0.640 0.366 1
Li6 Li 0.913 0.202 0.367 1
O28 O 0.705 0.050 0.843 1
P9 P 0.717 0.003 0.249 1
O29 O 0.410 0.976 0.699 1
O30 O 0.402 0.183 0.601 1
O31 O 0.088 0.468 0.380 1
O32 O 0.263 0.152 0.734 1
O33 O 0.443 0.497 0.409 1
O34 O 0.376 0.397 0.179 1
O35 O 0.905 0.164 0.259 1
P10 P 0.094 0.905 0.155 1
P11 P 0.759 0.245 0.485 1
O36 O 0.877 0.822 0.605 1
O37 O 0.260 0.601 0.512 1
O38 O 0.326 0.855 0.579 1
P12 P 0.197 0.100 0.344 1
Fe5 Fe 0.866 0.734 0.784 1
O39 O 0.239 0.833 0.928 1
O40 O 0.004 0.211 0.792 1
P13 P 0.052 0.671 0.918 1
O41 O 0.581 0.263 0.178 1
O42 O 0.246 0.183 0.278 1
P14 P 0.138 0.574 0.320 1
O43 O 0.052 0.914 0.333 1
O44 O 0.605 0.823 0.398 1
P15 P 0.289 0.997 0.748 1
O45 O 0.699 0.779 0.039 1
P16 P 0.473 0.243 0.987 1
O46 O 0.922 0.514 0.611 1
O47 O 0.590 0.040 0.293 1
P17 P 0.623 0.668 0.416 1
O48 O 0.315 0.317 0.516 1
O49 O 0.039 0.443 0.707 1
O50 O 0.194 0.481 0.267 1
O51 O 0.304 0.243 0.963 1
O52 O 0.658 0.519 0.246 1
Li7 Li 0.813 0.968 0.106 1
O53 O 0.980 0.645 0.848 1
P18 P 0.427 0.576 0.821 1
O54 O 0.527 0.141 0.937 1
O55 O 0.749 0.800 0.716 1
O56 O 0.778 0.169 0.080 1
O57 O 0.375 0.118 0.371 1
Li8 Li 0.235 0.890 0.025 1
O58 O 0.960 0.298 0.494 1
O59 O 0.069 0.516 0.936 1
O60 O 0.989 0.785 0.207 1
O61 O 0.049 0.362 0.149 1
O62 O 0.925 0.703 0.962 1
O63 O 0.419 0.138 0.048 1
O64 O 0.447 0.849 0.058 1
O65 O 0.922 0.931 0.844 1
O66 O 0.732 0.847 0.269 1
O67 O 0.636 0.907 0.630 1
Fe6 Fe 0.209 0.412 0.450 1
Na3 Na 0.346 0.689 0.663 1
O68 O 0.963 0.570 0.297 1
O69 O 0.628 0.421 0.998 1
O70 O 0.043 0.718 0.508 1
O71 O 0.941 0.496 0.071 1
Li9 Li 0.460 0.291 0.450 1
O72 O 0.719 0.245 0.665 1
```

3.
Computed, not measured: a relaxed structure of NaLi3Ti2Fe2P6O24 at the PBE+U level of DFT.

Output
**Calculated formation energy**: -2740 meV per atom
**Crystal system**: trigonal
**Symmetry**: R3 (146)
**Total energy after the MP2020 corrections**: -7.77 eV per atom
**E above lowest polymorph**: 0 meV/atom

Geometry as CIF:
```
data_NaLi3Ti2Fe2P6O24
_chemical_formula_sum 'Na1 Li3 Ti2 Fe2 P6 O24'
_symmetry_space_group_name_H-M 'P 1'
_symmetry_Int_Tables_number 1
_cell_length_a 8.960
_cell_length_b 8.960
_cell_length_c 8.960
_cell_angle_alpha 56.45
_cell_angle_beta 56.45
_cell_angle_gamma 56.45
loop_
_symmetry_equiv_pos_as_xyz
'x,y,z'
loop_
_atom_site_label
_atom_site_type_symbol
_atom_site_fract_x
_atom_site_fract_y
_atom_site_fract_z
_atom_site_occupancy
Li1 Li 0.675 0.261 0.922 1
Li2 Li 0.922 0.675 0.261 1
O1 O 0.753 0.470 0.863 1
O2 O 0.162 0.213 0.528 1
O3 O 0.805 0.623 0.994 1
O4 O 0.528 0.162 0.213 1
P1 P 0.460 0.043 0.750 1
O5 O 0.267 0.110 0.901 1
O6 O 0.195 0.382 0.001 1
O7 O 0.994 0.805 0.623 1
O8 O 0.878 0.115 0.740 1
P2 P 0.968 0.249 0.536 1
P3 P 0.249 0.536 0.968 1
P4 P 0.043 0.750 0.460 1
O9 O 0.213 0.528 0.162 1
O10 O 0.001 0.195 0.382 1
O11 O 0.823 0.459 0.508 1
Ti1 Ti 0.143 0.143 0.143 1
Fe1 Fe 0.652 0.652 0.652 1
Ti2 Ti 0.853 0.853 0.853 1
Li3 Li 0.261 0.922 0.675 1
O12 O 0.623 0.994 0.805 1
O13 O 0.863 0.753 0.470 1
O14 O 0.201 0.551 0.480 1
O15 O 0.115 0.740 0.878 1
O16 O 0.459 0.508 0.823 1
O17 O 0.480 0.201 0.551 1
P5 P 0.536 0.968 0.249 1
O18 O 0.110 0.901 0.267 1
O19 O 0.551 0.480 0.201 1
Fe2 Fe 0.354 0.354 0.354 1
O20 O 0.382 0.001 0.195 1
O21 O 0.740 0.878 0.115 1
O22 O 0.508 0.823 0.459 1
P6 P 0.750 0.460 0.043 1
O23 O 0.901 0.267 0.110 1
O24 O 0.470 0.863 0.753 1
Na1 Na 0.496 0.496 0.496 1
```

4.
Computed, not measured: a relaxed structure of Na9LiFe10Si20O60 at the PBE+U level of DFT.

Output
**Calculated formation energy**: -2731 meV per atom
**Crystal system**: triclinic
**Symmetry**: P1 (1)
**Total energy after the MP2020 corrections**: -7.77 eV per atom

Geometry as CIF:
```
data_Na9LiFe10Si20O60
_chemical_formula_sum 'Na9 Li1 Fe10 Si20 O60'
_symmetry_space_group_name_H-M 'P 1'
_symmetry_Int_Tables_number 1
_cell_length_a 9.809
_cell_length_b 10.384
_cell_length_c 11.250
_cell_angle_alpha 94.86
_cell_angle_beta 98.26
_cell_angle_gamma 99.11
loop_
_symmetry_equiv_pos_as_xyz
'x,y,z'
loop_
_atom_site_label
_atom_site_type_symbol
_atom_site_fract_x
_atom_site_fract_y
_atom_site_fract_z
_atom_site_occupancy
Na1 Na 0.991 0.713 0.981 1
O1 O 0.553 0.102 0.810 1
Fe1 Fe 0.670 0.431 0.340 1
O2 O 0.304 0.892 0.376 1
O3 O 0.371 0.665 0.513 1
O4 O 0.251 0.391 0.204 1
O5 O 0.498 0.304 0.223 1
O6 O 0.029 0.935 0.287 1
O7 O 0.768 0.261 0.309 1
O8 O 0.429 0.535 0.088 1
Na2 Na 0.391 0.313 0.781 1
Si1 Si 0.525 0.677 0.469 1
O9 O 0.046 0.298 0.390 1
Si2 Si 0.261 0.119 0.940 1
O10 O 0.753 0.901 0.210 1
Na3 Na 0.791 0.913 0.581 1
Na4 Na 0.191 0.512 0.381 1
Si3 Si 0.061 0.319 0.540 1
O11 O 0.750 0.865 0.781 1
Si4 Si 0.861 0.519 0.141 1
Si5 Si 0.725 0.476 0.869 1
Fe2 Fe 0.930 0.969 0.860 1
Si6 Si 0.326 0.877 0.069 1
O12 O 0.650 0.735 0.019 1
Si7 Si 0.939 0.681 0.459 1
Fe3 Fe 0.270 0.831 0.540 1
Fe4 Fe 0.330 0.569 0.660 1
O13 O 0.950 0.408 0.196 1
O14 O 0.153 0.502 0.010 1
O15 O 0.697 0.109 0.624 1
O16 O 0.172 0.864 0.113 1
O17 O 0.503 0.691 0.776 1
O18 O 0.629 0.336 0.487 1
O19 O 0.950 0.665 0.181 1
O20 O 0.903 0.291 0.576 1
Fe5 Fe 0.530 0.368 0.060 1
Fe6 Fe 0.730 0.169 0.459 1
Li1 Li 0.593 0.121 0.186 1
Na5 Na 0.209 0.087 0.419 1
O21 O 0.897 0.909 0.024 1
O22 O 0.971 0.065 0.713 1
O23 O 0.452 0.444 0.623 1
Fe7 Fe 0.470 0.631 0.941 1
O24 O 0.249 0.135 0.219 1
O25 O 0.703 0.491 0.176 1
O26 O 0.050 0.335 0.819 1
O27 O 0.850 0.535 0.419 1
Na6 Na 0.809 0.487 0.619 1
O28 O 0.647 0.698 0.590 1
O29 O 0.103 0.091 0.976 1
O30 O 0.852 0.044 0.424 1
O31 O 0.150 0.465 0.581 1
O32 O 0.348 0.756 0.977 1
O33 O 0.450 0.935 0.619 1
Si8 Si 0.340 0.280 0.259 1
O34 O 0.571 0.464 0.913 1
Si9 Si 0.661 0.719 0.740 1
O35 O 0.651 0.241 0.027 1
Si10 Si 0.462 0.920 0.339 1
Si11 Si 0.125 0.076 0.669 1
O36 O 0.450 0.191 0.604 1
O37 O 0.252 0.644 0.223 1
Si12 Si 0.275 0.524 0.131 1
O38 O 0.350 0.009 0.995 1
O39 O 0.952 0.702 0.609 1
O40 O 0.353 0.302 0.409 1
O41 O 0.948 0.156 0.176 1
O42 O 0.550 0.809 0.396 1
O43 O 0.052 0.844 0.823 1
O44 O 0.748 0.356 0.777 1
O45 O 0.247 0.098 0.790 1
O46 O 0.649 0.992 0.007 1
Na7 Na 0.610 0.687 0.219 1
O47 O 0.229 0.736 0.687 1
O48 O 0.449 0.901 0.190 1
O49 O 0.297 0.509 0.824 1
O50 O 0.350 0.265 0.981 1
Si13 Si 0.674 0.123 0.932 1
Fe8 Fe 0.130 0.769 0.259 1
Si14 Si 0.539 0.081 0.660 1
Si15 Si 0.739 0.882 0.060 1
Fe9 Fe 0.870 0.231 0.741 1
O51 O 0.548 0.556 0.376 1
Na8 Na 0.009 0.287 0.019 1
O52 O 0.828 0.136 0.888 1
Fe10 Fe 0.070 0.031 0.140 1
Si16 Si 0.875 0.924 0.331 1
O53 O 0.150 0.209 0.596 1
Na9 Na 0.409 0.887 0.819 1
Si17 Si 0.475 0.324 0.531 1
O54 O 0.097 0.709 0.424 1
Si18 Si 0.139 0.481 0.860 1
O55 O 0.551 0.067 0.377 1
Si19 Si 0.924 0.276 0.269 1
O56 O 0.847 0.498 0.991 1
O57 O 0.050 0.591 0.804 1
O58 O 0.750 0.609 0.796 1
O59 O 0.148 0.956 0.577 1
O60 O 0.850 0.791 0.404 1
Si20 Si 0.075 0.724 0.731 1
```

5.
Computed, not measured: a relaxed structure of Na5LiFe6Si12O36 at the PBE+U level of DFT.

Output
**Calculated formation energy**: -2732 meV per atom
**Crystal system**: monoclinic
**Symmetry**: C2 (5)
**Total energy after the MP2020 corrections**: -7.77 eV per atom

Geometry as CIF:
```
data_Na5LiFe6Si12O36
_chemical_formula_sum 'Na5 Li1 Fe6 Si12 O36'
_symmetry_space_group_name_H-M 'P 1'
_symmetry_Int_Tables_number 1
_cell_length_a 9.426
_cell_length_b 9.426
_cell_length_c 9.627
_cell_angle_alpha 72.27
_cell_angle_beta 72.27
_cell_angle_gamma 56.16
loop_
_symmetry_equiv_pos_as_xyz
'x,y,z'
loop_
_atom_site_label
_atom_site_type_symbol
_atom_site_fract_x
_atom_site_fract_y
_atom_site_fract_z
_atom_site_occupancy
O1 O 0.437 0.950 0.659 1
Si1 Si 0.740 0.060 0.809 1
O2 O 0.762 0.092 0.960 1
O3 O 0.095 0.755 0.459 1
Fe1 Fe 0.981 0.685 0.666 1
Na1 Na 0.621 0.712 0.833 1
O4 O 0.949 0.438 0.158 1
O5 O 0.762 0.421 0.794 1
O6 O 0.904 0.892 0.742 1
O7 O 0.562 0.051 0.842 1
O8 O 0.050 0.563 0.341 1
Li1 Li 0.034 0.966 0.000 1
Si2 Si 0.260 0.939 0.693 1
O9 O 0.912 0.571 0.873 1
O10 O 0.088 0.428 0.627 1
Na2 Na 0.288 0.379 0.167 1
O11 O 0.572 0.912 0.373 1
O12 O 0.108 0.096 0.258 1
Fe2 Fe 0.315 0.019 0.334 1
Si3 Si 0.595 0.273 0.357 1
O13 O 0.579 0.238 0.206 1
Si4 Si 0.940 0.260 0.191 1
Si5 Si 0.405 0.728 0.142 1
Fe3 Fe 0.648 0.352 0.000 1
O14 O 0.570 0.559 0.076 1
Si6 Si 0.606 0.928 0.525 1
Na3 Na 0.712 0.621 0.333 1
O15 O 0.429 0.088 0.127 1
Fe4 Fe 0.352 0.648 0.500 1
O16 O 0.237 0.226 0.409 1
Na4 Na 0.954 0.046 0.500 1
Si7 Si 0.928 0.606 0.024 1
O17 O 0.280 0.773 0.828 1
O18 O 0.227 0.720 0.172 1
O19 O 0.908 0.238 0.040 1
O20 O 0.617 0.105 0.492 1
O21 O 0.717 0.228 0.675 1
Fe5 Fe 0.019 0.313 0.834 1
O22 O 0.772 0.283 0.325 1
O23 O 0.559 0.570 0.576 1
Si8 Si 0.727 0.405 0.643 1
O24 O 0.896 0.905 0.237 1
Si9 Si 0.272 0.595 0.858 1
O25 O 0.226 0.237 0.909 1
Si10 Si 0.394 0.072 0.976 1
Si11 Si 0.072 0.394 0.475 1
O26 O 0.245 0.905 0.541 1
O27 O 0.430 0.441 0.424 1
O28 O 0.238 0.579 0.707 1
O29 O 0.105 0.616 0.992 1
Si12 Si 0.061 0.740 0.307 1
O30 O 0.895 0.383 0.508 1
O31 O 0.763 0.774 0.091 1
Na5 Na 0.379 0.288 0.667 1
O32 O 0.774 0.763 0.591 1
O33 O 0.095 0.104 0.763 1
O34 O 0.441 0.430 0.924 1
O35 O 0.421 0.762 0.293 1
O36 O 0.384 0.895 0.008 1
Fe6 Fe 0.687 0.981 0.166 1
```

6.
Computed, not measured: a relaxed structure of NaLiFe2Si4O12 at the PBE+U level of DFT.

Output
**Calculated formation energy**: -2739 meV per atom
**Crystal system**: monoclinic
**Symmetry**: C2 (5)
**Total energy after the MP2020 corrections**: -7.80 eV per atom

Geometry as CIF:
```
data_NaLiFe2Si4O12
_chemical_formula_sum 'Na1 Li1 Fe2 Si4 O12'
_symmetry_space_group_name_H-M 'P 1'
_symmetry_Int_Tables_number 1
_cell_length_a 6.607
_cell_length_b 6.607
_cell_length_c 5.363
_cell_angle_alpha 76.13
_cell_angle_beta 76.13
_cell_angle_gamma 84.38
loop_
_symmetry_equiv_pos_as_xyz
'x,y,z'
loop_
_atom_site_label
_atom_site_type_symbol
_atom_site_fract_x
_atom_site_fract_y
_atom_site_fract_z
_atom_site_occupancy
Si1 Si 0.202 0.383 0.002 1
Li1 Li 0.746 0.254 0.000 1
O1 O 0.195 0.037 0.607 1
Na1 Na 0.294 0.706 0.500 1
O2 O 0.102 0.618 0.945 1
Si2 Si 0.382 0.206 0.499 1
O3 O 0.800 0.972 0.894 1
O4 O 0.641 0.654 0.781 1
Si3 Si 0.794 0.618 0.501 1
Fe1 Fe 0.101 0.899 0.000 1
O5 O 0.346 0.359 0.219 1
O6 O 0.650 0.646 0.281 1
O7 O 0.619 0.113 0.427 1
Fe2 Fe 0.897 0.103 0.500 1
Si4 Si 0.617 0.798 0.998 1
O8 O 0.354 0.350 0.719 1
O9 O 0.382 0.898 0.055 1
O10 O 0.963 0.805 0.393 1
O11 O 0.887 0.381 0.573 1
O12 O 0.028 0.200 0.106 1
```